The following is a DFT calculation (GGA-PBE) of an optimized crystal structure of Ba2Ta15O32.

Values from the calculation:
Calculated volume   642.2 Å³/cell

a b c (Å): 7.8649 7.8659 12.8136
angles (deg): 72.16 72.14 60.03
Fractional coordinates of all 49 atoms:
O (0.9680, 0.8522, 0.6205)
O (0.6973, 0.1365, 0.2058)
O (0.2622, 0.2623, 0.2134)
O (0.7352, 0.5430, 0.4047)
O (0.4282, 0.8334, 0.9994)
O (0.1589, 0.5719, 0.8124)
O (0.4573, 0.6828, 0.5953)
O (0.8412, 0.4280, 0.1877)
O (0.2642, 0.4565, 0.5954)
O (0.7376, 0.7380, 0.7866)
O (0.5429, 0.8412, 0.1877)
O (0.2610, 0.5719, 0.0006)
O (0.5719, 0.4569, 0.8123)
O (0.1666, 0.2611, 0.0006)
O (0.5429, 0.3161, 0.4047)
O (0.8519, 0.5594, 0.6206)
O (0.3028, 0.8636, 0.7943)
O (0.8635, 0.0396, 0.7944)
O (0.1481, 0.4408, 0.3795)
O (0.5591, 0.9686, 0.6206)
O (0.5718, 0.1666, 0.0006)
O (0.6829, 0.2645, 0.5952)
O (0.8335, 0.7390, 0.9993)
O (0.0395, 0.3028, 0.7942)
O (0.0316, 0.1485, 0.3793)
O (0.4569, 0.1588, 0.8123)
O (0.1363, 0.9608, 0.2057)
O (0.3172, 0.7352, 0.4046)
O (0.7390, 0.4282, 0.9994)
O (0.4281, 0.5434, 0.1875)
O (0.4408, 0.0321, 0.3794)
O (0.9605, 0.6974, 0.2056)
Ta (0.4256, 0.3061, 0.2969)
Ta (0.3045, 0.9708, 0.2980)
Ta (0.6388, 0.6387, 0.0842)
Ta (0.9445, 0.1831, 0.0972)
Ta (0.1828, 0.7755, 0.0973)
Ta (0.9706, 0.4275, 0.2977)
Ta (0.7752, 0.9444, 0.0973)
Ta (0.3615, 0.3612, 0.9158)
Ta (0.2248, 0.0556, 0.9027)
Ta (0.0286, 0.5750, 0.7024)
Ta (0.5733, 0.6952, 0.7025)
Ta (0.4998, 0.5006, 0.5000)
Ta (0.0558, 0.8170, 0.9027)
Ta (0.8171, 0.2247, 0.9027)
Ta (0.6960, 0.0296, 0.7026)
Ba (0.8506, 0.8743, 0.4181)
Ba (0.1425, 0.1497, 0.5819)



The following is a DFT calculation (GGA-PBE) of an optimized crystal structure of Ba4Ta2O9.

Values from the calculation:
Calculated volume   551.1 Å³/cell

a b c (Å): 6.1349 6.1349 16.9090
angles (deg): 90.00 90.00 120.00
Fractional coordinates of all 30 atoms:
O (0.2377, 0.8841, 0.8900)
O (0.6464, 0.7623, 0.6100)
O (0.2377, 0.8841, 0.6100)
O (0.5165, 0.9563, 0.7500)
O (0.4835, 0.0437, 0.2500)
O (0.3536, 0.2377, 0.1100)
O (0.3536, 0.2377, 0.3900)
O (0.0437, 0.5601, 0.7500)
O (0.6464, 0.7623, 0.8900)
O (0.7623, 0.1159, 0.1100)
O (0.7623, 0.1159, 0.3900)
O (0.9563, 0.4399, 0.2500)
O (0.1159, 0.3536, 0.6100)
O (0.8841, 0.6464, 0.1100)
O (0.1159, 0.3536, 0.8900)
O (0.8841, 0.6464, 0.3900)
O (0.5601, 0.5165, 0.2500)
O (0.4399, 0.4835, 0.7500)
Ta (0.6667, 0.3333, 0.1608)
Ta (0.3333, 0.6667, 0.6608)
Ta (0.6667, 0.3333, 0.3392)
Ta (0.3333, 0.6667, 0.8392)
Ba (0.0000, 0.0000, 0.2500)
Ba (0.0000, 0.0000, 0.0000)
Ba (0.3333, 0.6667, 0.3638)
Ba (0.3333, 0.6667, 0.1362)
Ba (0.0000, 0.0000, 0.5000)
Ba (0.6667, 0.3333, 0.8638)
Ba (0.6667, 0.3333, 0.6362)
Ba (0.0000, 0.0000, 0.7500)



The following is a DFT calculation (GGA-PBE) of an optimized crystal structure of Ba2Ta2O7.

Values from the calculation:
Calculated volume   337.7 Å³/cell

a b c (Å): 7.7795 7.7795 7.7795
angles (deg): 120.45 117.47 91.83
Fractional coordinates of all 22 atoms:
Ta (0.0000, 0.5000, 0.5000)
Ta (0.5000, 0.0000, 0.0000)
Ta (0.5000, 0.5000, 0.5000)
Ta (0.5000, 0.0000, 0.5000)
O (0.7989, 0.1918, 0.2282)
O (0.2011, 0.8082, 0.7718)
O (0.4636, 0.6918, 0.3929)
O (0.5364, 0.9293, 0.2282)
O (0.5837, 0.7500, 0.8337)
O (0.5364, 0.3082, 0.6071)
O (0.2000, 0.9096, 0.2904)
O (0.4163, 0.2500, 0.1663)
O (0.1192, 0.4096, 0.7096)
O (0.7989, 0.5707, 0.6071)
O (0.8808, 0.5904, 0.2904)
O (0.8000, 0.0904, 0.7096)
O (0.2011, 0.4293, 0.3929)
O (0.4636, 0.0707, 0.7718)
Ba (0.0000, 0.5000, 0.0000)
Ba (0.0000, 0.0000, 0.5000)
Ba (0.0000, 0.0000, 0.0000)
Ba (0.5000, 0.5000, 0.0000)



The following is a DFT calculation (GGA-PBE) of an optimized crystal structure of Ba4Ta2O9.

Values from the calculation:
Calculated volume   541.5 Å³/cell

a b c (Å): 6.2648 6.2648 15.9312
angles (deg): 90.00 90.00 120.00
Fractional coordinates of all 30 atoms:
O (0.2940, 0.0363, 0.0975)
O (0.7060, 0.9637, 0.9025)
O (0.2351, 0.0000, 0.7500)
O (0.7423, 0.7060, 0.0975)
O (0.7649, 0.0000, 0.2500)
O (0.0000, 0.7649, 0.2500)
O (0.0000, 0.2351, 0.7500)
O (0.7423, 0.0363, 0.5975)
O (0.2940, 0.2577, 0.5975)
O (0.9637, 0.2577, 0.0975)
O (0.7060, 0.7423, 0.4025)
O (0.0363, 0.2940, 0.4025)
O (0.7649, 0.7649, 0.7500)
O (0.0363, 0.7423, 0.9025)
O (0.9637, 0.7060, 0.5975)
O (0.2577, 0.2940, 0.9025)
O (0.2351, 0.2351, 0.2500)
O (0.2577, 0.9637, 0.4025)
Ba (0.3333, 0.6667, 0.7947)
Ba (0.3333, 0.6667, 0.0322)
Ba (0.3333, 0.6667, 0.2947)
Ba (0.6667, 0.3333, 0.2053)
Ba (0.3333, 0.6667, 0.5322)
Ba (0.6667, 0.3333, 0.9678)
Ba (0.6667, 0.3333, 0.7053)
Ba (0.6667, 0.3333, 0.4678)
Ta (0.0000, 0.0000, 0.3475)
Ta (0.0000, 0.0000, 0.6525)
Ta (0.0000, 0.0000, 0.1525)
Ta (0.0000, 0.0000, 0.8475)



Values of total energy, in order: -9.70; -8.01; -8.62; -7.93, all in eV/atom.